Entry 1:
First-principles (PBE with a Hubbard U) data for RbCoNiF6 after structural relaxation, as listed in Materials Project.

Lattice parameters (Å, degrees): 7.288 7.288 7.288 89.20 60.79 119.88
Fractional positions:
Rb: 0.250 0.620 0.130
Rb: 0.750 0.380 0.870
Co: 0.000 0.000 0.000
Co: 0.500 0.000 0.500
Ni: 0.500 0.500 0.500
Ni: 0.000 0.000 0.500
F: 0.750 0.069 0.181
F: 0.750 0.669 0.581
F: 0.737 0.068 0.576
F: 0.763 0.687 0.168
F: 0.356 0.687 0.576
F: 0.144 0.068 0.168
F: 0.250 0.931 0.819
F: 0.250 0.331 0.419
F: 0.263 0.932 0.424
F: 0.237 0.313 0.832
F: 0.644 0.313 0.424
F: 0.856 0.932 0.832

Summary:
**Symmetry**: No. 74
**Energy of formation**: -2.456 eV per atom
**Energy**: -4.50 eV per atom


Entry 2:
First-principles (PBE with a Hubbard U) data for Np2CoO8F10 after structural relaxation, as listed in Materials Project.

Lattice parameters (Å, degrees): 6.768 8.706 11.050 82.36 90.00 90.00
Fractional positions:
Np: 0.367 0.693 0.936
Np: 0.867 0.807 0.064
Np: 0.633 0.307 0.064
Np: 0.133 0.193 0.936
Co: 0.500 0.500 0.500
Co: 0.000 0.000 0.500
O: 0.852 0.574 0.659
O: 0.352 0.926 0.341
O: 0.148 0.426 0.341
O: 0.648 0.074 0.659
O: 0.045 0.876 0.634
O: 0.545 0.624 0.366
O: 0.955 0.124 0.366
O: 0.455 0.376 0.634
O: 0.696 0.634 0.622
O: 0.196 0.866 0.378
O: 0.304 0.366 0.378
O: 0.804 0.134 0.622
O: 0.275 0.563 0.551
O: 0.775 0.937 0.449
O: 0.725 0.437 0.449
O: 0.225 0.063 0.551
F: 0.307 0.935 0.913
F: 0.807 0.565 0.087
F: 0.693 0.065 0.087
F: 0.193 0.435 0.913
F: 0.036 0.717 0.907
F: 0.536 0.783 0.093
F: 0.964 0.283 0.093
F: 0.464 0.217 0.907
F: 0.574 0.505 0.901
F: 0.074 0.995 0.099
F: 0.426 0.495 0.099
F: 0.926 0.005 0.901
F: 0.660 0.793 0.888
F: 0.160 0.707 0.112
F: 0.340 0.207 0.112
F: 0.840 0.293 0.888
F: 0.346 0.707 0.755
F: 0.846 0.793 0.245
F: 0.654 0.293 0.245
F: 0.154 0.207 0.755

Summary:
**Symmetry**: No. 14
**Energy of formation**: -1.875 eV per atom
**Energy**: -5.88 eV per atom


no.,total magnetization (Bohr magnetons per cell),calculated density (g cm⁻³)
1,12.00,3.8
2,26.00,4.4